No. 1
Below is a geometry-optimized Na5GaO4 structure, with properties calculated at the GGA-PBE level.

Computed properties:
E (eV/atom): -4.48
Volume (Å³ per atom): 14.26

Lattice parameters (Å, degrees): 6.005 18.173 10.453 90.00 90.00 90.00
Atoms (fractional coordinates):
1 Na 0.077 0.141 0.199
2 Na 0.077 0.359 0.699
3 Na 0.082 0.065 0.940
4 Na 0.082 0.435 0.440
5 Na 0.090 0.503 0.163
6 Na 0.090 0.997 0.663
7 Na 0.101 0.748 0.578
8 Na 0.101 0.752 0.078
9 Na 0.105 0.672 0.827
10 Na 0.105 0.828 0.327
11 Na 0.395 0.172 0.827
12 Na 0.395 0.328 0.327
13 Na 0.399 0.248 0.578
14 Na 0.399 0.252 0.078
15 Na 0.410 0.003 0.163
16 Na 0.410 0.497 0.663
17 Na 0.418 0.565 0.940
18 Na 0.418 0.935 0.440
19 Na 0.423 0.641 0.199
20 Na 0.423 0.859 0.699
21 Na 0.577 0.141 0.301
22 Na 0.577 0.359 0.801
23 Na 0.582 0.065 0.560
24 Na 0.582 0.435 0.060
25 Na 0.590 0.503 0.337
26 Na 0.590 0.997 0.837
27 Na 0.601 0.748 0.922
28 Na 0.601 0.752 0.422
29 Na 0.605 0.672 0.673
30 Na 0.605 0.828 0.173
31 Na 0.895 0.172 0.673
32 Na 0.895 0.328 0.173
33 Na 0.899 0.248 0.922
34 Na 0.899 0.252 0.422
35 Na 0.910 0.003 0.337
36 Na 0.910 0.497 0.837
37 Na 0.918 0.565 0.560
38 Na 0.918 0.935 0.060
39 Na 0.923 0.641 0.301
40 Na 0.923 0.859 0.801
41 Ga 0.173 0.124 0.460
42 Ga 0.173 0.376 0.960
43 Ga 0.327 0.624 0.460
44 Ga 0.327 0.876 0.960
45 Ga 0.673 0.124 0.040
46 Ga 0.673 0.376 0.540
47 Ga 0.827 0.624 0.040
48 Ga 0.827 0.876 0.540
49 O 0.139 0.621 0.047
50 O 0.139 0.879 0.547
51 O 0.196 0.546 0.369
52 O 0.196 0.954 0.869
53 O 0.235 0.712 0.375
54 O 0.235 0.788 0.875
55 O 0.237 0.625 0.634
56 O 0.237 0.875 0.134
57 O 0.263 0.125 0.634
58 O 0.263 0.375 0.134
59 O 0.265 0.212 0.375
60 O 0.265 0.288 0.875
61 O 0.304 0.046 0.369
62 O 0.304 0.454 0.869
63 O 0.361 0.121 0.047
64 O 0.361 0.379 0.547
65 O 0.639 0.621 0.453
66 O 0.639 0.879 0.953
67 O 0.696 0.546 0.131
68 O 0.696 0.954 0.631
69 O 0.735 0.712 0.125
70 O 0.735 0.788 0.625
71 O 0.737 0.625 0.866
72 O 0.737 0.875 0.366
73 O 0.763 0.125 0.866
74 O 0.763 0.375 0.366
75 O 0.765 0.212 0.125
76 O 0.765 0.288 0.625
77 O 0.804 0.046 0.131
78 O 0.804 0.454 0.631
79 O 0.861 0.121 0.453
80 O 0.861 0.379 0.953



No. 2
Below is a geometry-optimized Hf3Si3Ni2 structure, with properties calculated at the GGA-PBE level.

Computed properties:
E (eV/atom): -8.09
Volume (Å³ per atom): 15.35

Lattice parameters (Å, degrees): 5.290 5.290 12.906 90.00 90.00 137.16
Atoms (fractional coordinates):
1 Hf 0.073 0.927 0.618
2 Hf 0.073 0.927 0.882
3 Hf 0.366 0.634 0.750
4 Hf 0.634 0.366 0.250
5 Hf 0.927 0.073 0.118
6 Hf 0.927 0.073 0.382
7 Si 0.341 0.659 0.250
8 Si 0.388 0.612 0.541
9 Si 0.388 0.612 0.959
10 Si 0.612 0.388 0.041
11 Si 0.612 0.388 0.459
12 Si 0.659 0.341 0.750
13 Ni 0.218 0.782 0.089
14 Ni 0.218 0.782 0.411
15 Ni 0.782 0.218 0.589
16 Ni 0.782 0.218 0.911



No. 3
Below is a geometry-optimized VRu structure, with properties calculated at the GGA-PBE level.

Computed properties:
E (eV/atom): -9.41
Volume (Å³ per atom): 13.70

Lattice parameters (Å, degrees): 3.015 3.015 3.015 90.00 90.00 90.00
Atoms (fractional coordinates):
1 V 0.000 0.000 0.000
2 Ru 0.500 0.500 0.500



No. 4
Below is a geometry-optimized CsNbN2 structure, with properties calculated at the GGA-PBE level.

Computed properties:
E (eV/atom): -7.65
Volume (Å³ per atom): 22.80

Lattice parameters (Å, degrees): 6.366 6.366 6.366 60.00 60.00 60.00
Atoms (fractional coordinates):
1 Cs 0.125 0.125 0.125
2 Cs 0.875 0.875 0.875
3 Nb 0.375 0.375 0.375
4 Nb 0.625 0.625 0.625
5 N 0.000 0.500 0.500
6 N 0.500 0.000 0.500
7 N 0.500 0.500 0.000
8 N 0.500 0.500 0.500



No. 5
Below is a geometry-optimized Pm3Eu structure, with properties calculated at the GGA-PBE level.

Computed properties:
E (eV/atom): -6.06
Spin magnetization (μB per formula unit): 0.01
Volume (Å³ per atom): 35.68

Lattice parameters (Å, degrees): 7.418 7.418 5.989 90.00 90.00 120.00
Atoms (fractional coordinates):
1 Pm 0.163 0.327 0.250
2 Pm 0.163 0.837 0.250
3 Pm 0.327 0.163 0.750
4 Pm 0.673 0.837 0.250
5 Pm 0.837 0.163 0.750
6 Pm 0.837 0.673 0.750
7 Eu 0.333 0.667 0.750
8 Eu 0.667 0.333 0.250



No. 6
Below is a geometry-optimized Sr2Cu3S2O2 structure, with properties calculated at the GGA-PBE level.

Computed properties:
E (eV/atom): -5.09
Spin magnetization (μB per formula unit): 0.00
Volume (Å³ per atom): 15.84

Lattice parameters (Å, degrees): 9.619 9.619 9.619 156.40 156.40 33.63
Atoms (fractional coordinates):
1 Sr 0.092 0.092 0.000
2 Sr 0.908 0.908 0.000
3 Cu 0.250 0.750 0.500
4 Cu 0.500 0.500 0.000
5 Cu 0.750 0.250 0.500
6 S 0.326 0.326 0.000
7 S 0.674 0.674 0.000
8 O 0.000 0.500 0.500
9 O 0.500 0.000 0.500



No. 7
Below is a geometry-optimized Na3Ta2Al2SiP5O24 structure, with properties calculated at the GGA-PBE level.

Computed properties:
E (eV/atom): -7.57
Spin magnetization (μB per formula unit): 0.00
Volume (Å³ per atom): 12.95

Lattice parameters (Å, degrees): 8.618 8.653 22.219 89.94 89.95 60.19
Atoms (fractional coordinates):
1 Na 0.000 0.000 0.000
2 Na 0.006 0.004 0.500
3 Na 0.013 0.351 0.747
4 Na 0.034 0.659 0.582
5 Na 0.307 0.663 0.079
6 Na 0.341 0.311 0.168
7 Na 0.356 0.315 0.667
8 Na 0.665 0.665 0.835
9 Na 0.675 0.654 0.334
10 Ta 0.007 0.983 0.851
11 Ta 0.007 0.989 0.351
12 Ta 0.340 0.316 0.017
13 Ta 0.340 0.318 0.516
14 Ta 0.672 0.660 0.185
15 Ta 0.674 0.657 0.683
16 Al 0.005 0.996 0.142
17 Al 0.007 0.992 0.642
18 Al 0.340 0.321 0.308
19 Al 0.342 0.327 0.808
20 Al 0.669 0.657 0.975
21 Al 0.677 0.648 0.474
22 Si 0.020 0.696 0.741
23 Si 0.380 0.940 0.076
24 Si 0.953 0.357 0.576
25 P 0.018 0.271 0.243
26 P 0.044 0.334 0.909
27 P 0.048 0.603 0.409
28 P 0.288 0.694 0.243
29 P 0.292 0.993 0.744
30 P 0.352 0.603 0.910
31 P 0.353 0.027 0.409
32 P 0.385 0.664 0.575
33 P 0.620 0.031 0.909
34 P 0.620 0.333 0.409
35 P 0.678 0.940 0.575
36 P 0.687 0.363 0.077
37 P 0.714 0.268 0.744
38 P 0.716 0.000 0.243
39 P 0.952 0.665 0.076
40 O 0.029 0.161 0.906
41 O 0.034 0.792 0.404
42 O 0.039 0.790 0.682
43 O 0.040 0.158 0.188
44 O 0.133 0.353 0.852
45 O 0.142 0.488 0.355
46 O 0.147 0.498 0.070
47 O 0.152 0.349 0.571
48 O 0.163 0.526 0.468
49 O 0.167 0.299 0.966
50 O 0.172 0.029 0.690
51 O 0.179 0.012 0.404
52 O 0.180 0.794 0.905
53 O 0.181 0.293 0.253
54 O 0.181 0.781 0.186
55 O 0.183 0.496 0.752
56 O 0.186 0.960 0.087
57 O 0.195 0.820 0.583
58 O 0.203 0.817 0.299
59 O 0.207 0.962 0.802
60 O 0.311 0.510 0.253
61 O 0.314 0.148 0.466
62 O 0.314 0.528 0.969
63 O 0.315 0.156 0.754
64 O 0.363 0.138 0.072
65 O 0.366 0.492 0.570
66 O 0.370 0.491 0.856
67 O 0.374 0.121 0.354
68 O 0.474 0.689 0.520
69 O 0.474 0.811 0.020
70 O 0.477 0.821 0.739
71 O 0.479 0.677 0.239
72 O 0.500 0.628 0.633
73 O 0.507 0.124 0.854
74 O 0.507 0.355 0.070
75 O 0.508 0.352 0.354
76 O 0.508 0.852 0.137
77 O 0.510 0.128 0.571
78 O 0.514 0.844 0.419
79 O 0.517 0.624 0.917
80 O 0.530 0.160 0.252
81 O 0.530 0.289 0.754
82 O 0.537 0.150 0.966
83 O 0.540 0.295 0.466
84 O 0.639 0.860 0.633
85 O 0.643 0.486 0.133
86 O 0.643 0.496 0.417
87 O 0.646 0.845 0.918
88 O 0.696 0.459 0.738
89 O 0.703 0.824 0.239
90 O 0.706 0.822 0.521
91 O 0.712 0.450 0.020
92 O 0.804 0.158 0.688
93 O 0.808 0.019 0.905
94 O 0.808 0.020 0.188
95 O 0.811 0.161 0.404
96 O 0.834 0.964 0.300
97 O 0.836 0.461 0.519
98 O 0.837 0.676 0.739
99 O 0.839 0.193 0.800
100 O 0.841 0.178 0.087
101 O 0.841 0.685 0.021
102 O 0.844 0.957 0.584
103 O 0.845 0.458 0.238
104 O 0.861 0.497 0.919
105 O 0.861 0.631 0.418
106 O 0.877 0.487 0.637
107 O 0.877 0.622 0.134
108 O 0.978 0.824 0.801
109 O 0.979 0.825 0.086
110 O 0.982 0.186 0.301
111 O 0.983 0.162 0.587



No. 8
Below is a geometry-optimized Sr2U4O11 structure, with properties calculated at the GGA-PBE level.

Computed properties:
E (eV/atom): -9.24
Spin magnetization (μB per formula unit): 6.00
Volume (Å³ per atom): 14.61

Lattice parameters (Å, degrees): 10.219 10.219 6.824 109.24 109.24 21.71
Atoms (fractional coordinates):
1 Sr 0.000 0.000 0.000
2 Sr 0.675 0.675 0.008
3 U 0.168 0.168 0.492
4 U 0.335 0.335 0.987
5 U 0.499 0.499 0.467
6 U 0.838 0.838 0.500
7 O 0.040 0.040 0.378
8 O 0.130 0.130 0.162
9 O 0.219 0.219 0.841
10 O 0.300 0.300 0.609
11 O 0.380 0.380 0.379
12 O 0.452 0.452 0.119
13 O 0.616 0.616 0.606
14 O 0.717 0.717 0.412
15 O 0.804 0.804 0.138
16 O 0.867 0.867 0.851
17 O 0.964 0.964 0.616



No. 9
Below is a geometry-optimized LiCu2C3O9 structure, with properties calculated at the GGA-PBE level.

Computed properties:
E (eV/atom): -6.57
Spin magnetization (μB per formula unit): 0.06
Volume (Å³ per atom): 11.66

Lattice parameters (Å, degrees): 7.599 7.649 7.750 109.16 111.19 107.29
Atoms (fractional coordinates):
1 Li 0.000 0.000 0.000
2 Li 0.466 0.584 0.260
3 Cu 0.012 0.312 0.675
4 Cu 0.067 0.907 0.403
5 Cu 0.336 0.764 0.725
6 Cu 0.501 0.218 0.309
7 C 0.135 0.701 0.063
8 C 0.239 0.325 0.444
9 C 0.280 0.133 0.856
10 C 0.598 0.016 0.580
11 C 0.651 0.901 0.143
12 C 0.870 0.553 0.479
13 O 0.023 0.686 0.156
14 O 0.046 0.707 0.527
15 O 0.099 0.128 0.313
16 O 0.151 0.129 0.682
17 O 0.168 0.839 0.005
18 O 0.204 0.566 0.027
19 O 0.207 0.443 0.583
20 O 0.269 0.212 0.022
21 O 0.407 0.410 0.440
22 O 0.409 0.060 0.846
23 O 0.482 0.092 0.493
24 O 0.504 0.825 0.536
25 O 0.605 0.814 0.946
26 O 0.661 0.082 0.231
27 O 0.694 0.485 0.313
28 O 0.703 0.814 0.253
29 O 0.802 0.128 0.713
30 O 0.870 0.472 0.601



No. 10
Below is a geometry-optimized Ho2MgS4 structure, with properties calculated at the GGA-PBE level.

Computed properties:
Spin magnetization (μB per formula unit): 0.00
Volume (Å³ per atom): 21.70
Energy relative to the lowest polymorph listed for this composition (meV per atom): 17

Lattice parameters (Å, degrees): 12.628 7.537 12.765 90.00 90.00 90.00
Atoms (fractional coordinates):
1 Ho 0.109 0.116 0.000
2 Ho 0.127 0.617 0.359
3 Ho 0.134 0.370 0.693
4 Ho 0.134 0.870 0.694
5 Ho 0.366 0.370 0.193
6 Ho 0.366 0.870 0.194
7 Ho 0.373 0.617 0.859
8 Ho 0.391 0.116 0.500
9 Ho 0.609 0.884 0.000
10 Ho 0.627 0.383 0.359
11 Ho 0.634 0.130 0.694
12 Ho 0.634 0.630 0.693
13 Ho 0.866 0.130 0.194
14 Ho 0.866 0.630 0.193
15 Ho 0.873 0.383 0.859
16 Ho 0.891 0.884 0.500
17 Mg 0.111 0.617 0.994
18 Mg 0.126 0.120 0.364
19 Mg 0.374 0.120 0.864
20 Mg 0.389 0.617 0.494
21 Mg 0.611 0.383 0.994
22 Mg 0.626 0.880 0.364
23 Mg 0.874 0.880 0.864
24 Mg 0.889 0.383 0.494
25 S 0.013 0.122 0.808
26 S 0.022 0.626 0.815
27 S 0.032 0.622 0.555
28 S 0.043 0.125 0.549
29 S 0.212 0.119 0.183
30 S 0.213 0.619 0.167
31 S 0.232 0.869 0.910
32 S 0.233 0.366 0.909
33 S 0.267 0.366 0.409
34 S 0.268 0.869 0.410
35 S 0.287 0.619 0.667
36 S 0.288 0.119 0.683
37 S 0.457 0.125 0.049
38 S 0.468 0.622 0.055
39 S 0.478 0.626 0.315
40 S 0.487 0.122 0.308
41 S 0.513 0.878 0.808
42 S 0.522 0.374 0.815
43 S 0.532 0.378 0.555
44 S 0.543 0.875 0.549
45 S 0.712 0.881 0.183
46 S 0.713 0.381 0.167
47 S 0.732 0.131 0.910
48 S 0.733 0.634 0.909
49 S 0.767 0.634 0.409
50 S 0.768 0.131 0.410
51 S 0.787 0.381 0.667
52 S 0.788 0.881 0.683
53 S 0.957 0.875 0.049
54 S 0.968 0.378 0.055
55 S 0.978 0.374 0.315
56 S 0.987 0.878 0.308